[1]
# PBE TbCuPbSe3, optimized geometry
# Energy relative to the elements ... -119.8 kJ/mol of atoms
# VASP energy ... -4.828 eV/atom
data_TbCuPbSe3
_chemical_formula_sum 'Tb4 Cu4 Pb4 Se12'
_symmetry_space_group_name_H-M 'P n m a'
_symmetry_Int_Tables_number 62
_symmetry_space_group_name_Hall '-P 2ac 2n'
_cell_length_a 10.679
_cell_length_b 4.070
_cell_length_c 13.640
_cell_angle_alpha 90.00
_cell_angle_beta 90.00
_cell_angle_gamma 90.00
loop_
_atom_site_label
_atom_site_fract_x
_atom_site_fract_y
_atom_site_fract_z
Tb1 0.014 0.250 0.242
Cu1 0.242 0.250 0.719
Pb1 0.225 0.750 0.504
Se1 0.052 0.250 0.614
Se2 0.083 0.750 0.104
Se3 0.240 0.750 0.828

---

[2]
# PBE Na4Zr2In2Si3S3O24, optimized geometry
# Energy relative to the elements ... -247.9 kJ/mol of atoms
# VASP energy ... -6.749 eV/atom
data_Na4Zr2In2Si3S3O24
_chemical_formula_sum 'Na12 Zr6 In6 Si9 S9 O72'
_symmetry_space_group_name_H-M 'P 1'
_symmetry_Int_Tables_number 1
_symmetry_space_group_name_Hall 'P 1'
_cell_length_a 9.100
_cell_length_b 9.103
_cell_length_c 23.228
_cell_angle_alpha 89.15
_cell_angle_beta 89.83
_cell_angle_gamma 60.16
loop_
_atom_site_label
_atom_site_fract_x
_atom_site_fract_y
_atom_site_fract_z
Na1 0.000 0.000 0.000
Na2 0.004 0.322 0.401
Na3 0.281 0.008 0.488
Na4 0.300 0.670 0.578
Na5 0.310 0.664 0.065
Na6 0.334 0.331 0.662
Na7 0.626 0.333 0.146
Na8 0.630 0.999 0.739
Na9 0.657 0.991 0.226
Na10 0.670 0.677 0.309
Na11 0.959 0.657 0.830
Na12 0.984 0.352 0.911
Zr1 0.306 0.695 0.217
Zr2 0.307 0.673 0.721
Zr3 0.628 0.018 0.388
Zr4 0.641 0.019 0.893
Zr5 0.962 0.353 0.055
Zr6 0.996 0.340 0.559
In1 0.303 0.672 0.424
In2 0.324 0.642 0.927
In3 0.642 0.008 0.595
In4 0.662 0.988 0.091
In5 0.988 0.325 0.254
In6 0.992 0.341 0.756
Si1 0.278 0.038 0.657
Si2 0.302 0.972 0.328
Si3 0.313 0.370 0.822
Si4 0.351 0.309 0.493
Si5 0.644 0.303 0.997
Si6 0.689 0.636 0.163
Si7 0.945 0.709 0.987
Si8 0.971 0.050 0.156
Si9 0.973 0.643 0.661
S1 0.013 0.672 0.326
S2 0.019 0.968 0.825
S3 0.276 0.341 0.159
S4 0.350 0.007 0.992
S5 0.605 0.672 0.824
S6 0.606 0.380 0.326
S7 0.647 0.709 0.490
S8 0.688 0.343 0.659
S9 0.936 0.009 0.491
O1 0.005 0.509 0.607
O2 0.006 0.135 0.099
O3 0.101 0.688 0.275
O4 0.111 0.646 0.379
O5 0.113 0.855 0.774
O6 0.114 0.863 0.489
O7 0.118 0.897 0.878
O8 0.123 0.713 0.983
O9 0.137 0.358 0.823
O10 0.141 0.859 0.164
O11 0.146 0.163 0.321
O12 0.159 0.637 0.662
O13 0.164 0.125 0.596
O14 0.166 0.311 0.494
O15 0.167 0.365 0.109
O16 0.180 0.164 0.994
O17 0.185 0.162 0.710
O18 0.204 0.319 0.214
O19 0.270 0.503 0.874
O20 0.284 0.891 0.390
O21 0.295 0.495 0.164
O22 0.301 0.848 0.663
O23 0.322 0.861 0.983
O24 0.325 0.498 0.485
O25 0.334 0.461 0.762
O26 0.338 0.837 0.276
O27 0.438 0.026 0.939
O28 0.447 0.193 0.154
O29 0.447 0.982 0.044
O30 0.452 0.177 0.439
O31 0.458 0.036 0.654
O32 0.458 0.224 0.552
O33 0.484 0.182 0.829
O34 0.488 0.972 0.333
O35 0.489 0.700 0.486
O36 0.493 0.496 0.990
O37 0.500 0.689 0.772
O38 0.504 0.452 0.273
O39 0.509 0.628 0.168
O40 0.516 0.500 0.661
O41 0.521 0.482 0.377
O42 0.521 0.664 0.877
O43 0.614 0.223 0.055
O44 0.625 0.815 0.540
O45 0.630 0.823 0.825
O46 0.632 0.204 0.333
O47 0.644 0.829 0.154
O48 0.661 0.196 0.655
O49 0.664 0.179 0.941
O50 0.672 0.789 0.436
O51 0.773 0.369 0.323
O52 0.774 0.359 0.606
O53 0.774 0.516 0.821
O54 0.785 0.324 0.711
O55 0.788 0.507 0.110
O56 0.792 0.560 0.224
O57 0.797 0.537 0.495
O58 0.801 0.036 0.154
O59 0.822 0.833 0.649
O60 0.828 0.299 0.997
O61 0.830 0.794 0.927
O62 0.839 0.015 0.438
O63 0.843 0.830 0.330
O64 0.854 0.965 0.827
O65 0.859 0.829 0.041
O66 0.860 0.987 0.543
O67 0.938 0.573 0.720
O68 0.942 0.159 0.214
O69 0.947 0.168 0.492
O70 0.972 0.518 0.995
O71 0.982 0.527 0.322
O72 0.983 0.142 0.816

---

[3]
# PBE LaMgTiS4, optimized geometry
# Energy relative to the elements ... -174.7 kJ/mol of atoms
# VASP energy ... -5.949 eV/atom
data_LaMgTiS4
_chemical_formula_sum 'La2 Mg2 Ti2 S8'
_symmetry_space_group_name_H-M 'P -1'
_symmetry_Int_Tables_number 2
_symmetry_space_group_name_Hall '-P 1'
_cell_length_a 7.527
_cell_length_b 7.763
_cell_length_c 7.773
_cell_angle_alpha 62.73
_cell_angle_beta 61.27
_cell_angle_gamma 61.45
loop_
_atom_site_label
_atom_site_fract_x
_atom_site_fract_y
_atom_site_fract_z
La1 0.000 0.000 0.000
La2 0.000 0.500 0.500
Mg1 0.374 0.376 0.876
Ti1 0.000 0.000 0.500
Ti2 0.500 0.000 0.500
S1 0.236 0.773 0.273
S2 0.259 0.210 0.271
S3 0.259 0.771 0.710
S4 0.282 0.227 0.727

---

[4]
# PBE CdHgC4Se4N4, optimized geometry
# Energy relative to the elements ... 16.1 kJ/mol of atoms
# VASP energy ... -5.835 eV/atom
data_CdHgC4Se4N4
_chemical_formula_sum 'Cd2 Hg2 C8 Se8 N8'
_symmetry_space_group_name_H-M 'I -4'
_symmetry_Int_Tables_number 82
_symmetry_space_group_name_Hall 'I -4'
_cell_length_a 11.846
_cell_length_b 11.846
_cell_length_c 4.861
_cell_angle_alpha 90.00
_cell_angle_beta 90.00
_cell_angle_gamma 90.00
loop_
_atom_site_label
_atom_site_fract_x
_atom_site_fract_y
_atom_site_fract_z
Cd1 0.000 0.000 0.000
Hg1 0.000 0.500 0.750
C1 0.079 0.227 0.629
Se1 0.121 0.351 0.436
N1 0.053 0.144 0.748

---

[5]
# PBE Cr5Te8, optimized geometry
# Energy relative to the elements ... -45.8 kJ/mol of atoms
# Distance to the lowest polymorph of the same formula ... 0.000 eV per atom
# VASP energy ... -5.862 eV/atom
data_Cr5Te8
_chemical_formula_sum 'Cr10 Te16'
_symmetry_space_group_name_H-M 'C 1 2/m 1'
_symmetry_Int_Tables_number 12
_symmetry_space_group_name_Hall '-C 2y'
_cell_length_a 12.254
_cell_length_b 7.919
_cell_length_c 9.111
_cell_angle_alpha 90.00
_cell_angle_beta 131.34
_cell_angle_gamma 90.00
loop_
_atom_site_label
_atom_site_fract_x
_atom_site_fract_y
_atom_site_fract_z
Cr1 0.000 0.000 0.000
Cr2 0.000 0.272 0.500
Cr3 0.232 0.500 0.983
Te1 0.024 0.000 0.324
Te2 0.052 0.500 0.335
Te3 0.211 0.247 0.170

---

[6]
# PBE Li2Ti3SnO8, optimized geometry
# Energy relative to the elements ... -284.4 kJ/mol of atoms
# Distance to the lowest polymorph of the same formula ... 0.000 eV per atom
# VASP energy ... -7.634 eV/atom
data_Li2Ti3SnO8
_chemical_formula_sum 'Li8 Ti12 Sn4 O32'
_symmetry_space_group_name_H-M 'P 21 3'
_symmetry_Int_Tables_number 198
_symmetry_space_group_name_Hall 'P 2ac 2ab 3'
_cell_length_a 8.785
_cell_length_b 8.785
_cell_length_c 8.785
_cell_angle_alpha 90.00
_cell_angle_beta 90.00
_cell_angle_gamma 90.00
loop_
_atom_site_label
_atom_site_fract_x
_atom_site_fract_y
_atom_site_fract_z
Li1 0.131 0.131 0.131
Li2 0.248 0.752 0.252
Ti1 0.116 0.872 0.882
Sn1 0.014 0.986 0.486
O1 0.087 0.867 0.107
O2 0.117 0.383 0.617
O3 0.120 0.833 0.659
O4 0.127 0.627 0.873

---

[7]
# PBE Hg9P5I6, optimized geometry
# Energy relative to the elements ... -25.9 kJ/mol of atoms
# VASP energy ... -2.102 eV/atom
data_Hg9P5I6
_chemical_formula_sum 'Hg36 P20 I24'
_symmetry_space_group_name_H-M 'P 1 21/c 1'
_symmetry_Int_Tables_number 14
_symmetry_space_group_name_Hall '-P 2ybc'
_cell_length_a 13.427
_cell_length_b 12.716
_cell_length_c 17.657
_cell_angle_alpha 90.00
_cell_angle_beta 119.77
_cell_angle_gamma 90.00
loop_
_atom_site_label
_atom_site_fract_x
_atom_site_fract_y
_atom_site_fract_z
Hg1 0.000 0.000 0.000
Hg2 0.057 0.056 0.802
Hg3 0.098 0.025 0.570
Hg4 0.149 0.180 0.225
Hg5 0.258 0.605 0.738
Hg6 0.285 0.726 0.962
Hg7 0.376 0.598 0.289
Hg8 0.380 0.172 0.950
Hg9 0.398 0.184 0.687
Hg10 0.500 0.000 0.500
P1 0.086 0.006 0.159
P2 0.216 0.146 0.795
P3 0.272 0.064 0.714
P4 0.429 0.715 0.827
P5 0.468 0.693 0.962
I1 0.115 0.688 0.277
I2 0.160 0.746 0.545
I3 0.189 0.220 0.026
I4 0.207 0.009 0.405
I5 0.409 0.520 0.560
I6 0.452 0.115 0.306

---

[8]
# PBE NdHg2, optimized geometry
# Energy relative to the elements ... -41.5 kJ/mol of atoms
# VASP energy ... -2.222 eV/atom
data_NdHg2
_chemical_formula_sum 'Nd1 Hg2'
_symmetry_space_group_name_H-M 'P 6/m m m'
_symmetry_Int_Tables_number 191
_symmetry_space_group_name_Hall '-P 6 2'
_cell_length_a 5.0655
_cell_length_b 5.0655
_cell_length_c 3.5107
_cell_angle_alpha 90.00
_cell_angle_beta 90.00
_cell_angle_gamma 120.00
loop_
_atom_site_label
_atom_site_fract_x
_atom_site_fract_y
_atom_site_fract_z
Nd1 0.0000 0.0000 0.0000
Hg1 0.3333 0.6667 0.5000

---

> Among the records above, which one has the lowest VASP energy?

Li2Ti3SnO8

---

> Which of these has the lowest VASP energy?

Li2Ti3SnO8